# 1
Density functional theory data (GGA-PBE) for a geometry-optimized BaTiSe3 structure.

extended XYZ file:
```
10
Lattice="7.1228 0.0000 0.0000 -3.5614 6.1685 0.0000 0.0000 0.0000 6.0665" Properties=species:S:1:pos:R:3 pbc="T T T"
Ba 0.0000 4.1123 1.5166
Ba 3.5614 2.0562 4.5499
Ti 0.0000 0.0000 0.0000
Ti 0.0000 0.0000 3.0333
Se 0.0000 2.0789 4.5499
Se -1.7610 5.1291 4.5499
Se 1.8003 1.0394 1.5166
Se 1.7610 5.1291 4.5499
Se 5.3224 1.0394 1.5166
Se 3.5614 4.0897 1.5166
```


# 2
Density functional theory data (GGA-PBE) for a geometry-optimized Na5P3O10 structure.

extended XYZ file:
```
36
Lattice="4.9202 -2.7041 0.0000 4.9202 2.7041 0.0000 -2.2372 0.0000 18.5926" Properties=species:S:1:pos:R:3 pbc="T T T"
Na 1.3415 1.3520 9.2963
Na 1.3927 0.9692 6.0192
Na 2.0904 1.4354 17.3424
Na 4.3942 1.4354 10.5465
Na 0.2741 -0.9692 15.3155
Na 2.4601 -1.3520 0.0000
Na 7.3291 0.9692 3.2772
Na 3.2090 -1.4354 8.0461
Na 5.5128 -1.4354 1.2502
Na 6.2105 -0.9692 12.5735
P 3.8780 1.2314 1.8543
P 4.8438 1.2314 7.4420
P 4.3609 0.5349 4.6482
P 3.2423 -0.5349 13.9445
P 2.7594 -1.2314 11.1506
P 3.7252 -1.2314 16.7383
O -0.0545 0.5470 17.1557
O 4.0714 1.6210 3.4765
O 3.5081 1.5780 8.1062
O 4.6504 1.6210 5.8198
O 5.2138 1.5780 1.1901
O 1.0641 -0.5470 7.8594
O 1.9888 0.2406 14.2730
O 2.4219 0.2580 11.0931
O 3.1074 -0.2406 4.9767
O 3.5406 -0.2580 1.7968
O 4.0627 0.2580 16.7958
O 4.4958 0.2406 13.6159
O 5.1813 -0.2580 7.4995
O 5.6144 -0.2406 4.3196
O 6.5391 0.5470 10.7332
O 2.3895 -1.5780 17.4025
O 2.9528 -1.6210 12.7728
O 4.0952 -1.5780 10.4864
O 3.5318 -1.6210 15.1161
O 7.6577 -0.5470 1.4369
```

Results
polymorph energy (0 for the lowest one): 4.5 meV/atom


Formation enthalpy at 0 K values, unit eV/atom, following the record order: -1.770; -2.616.